Entry 1:
Density functional theory data (GGA+U) for NiP4O11 after structural relaxation.

Summary:
The calculated formation energy comes out at -2.42 eV/atom.

```
data_NiP4O11
_chemical_formula_sum 'Ni4 P16 O44'
_space_group_name_H-M_alt 'P -1'
_space_group_IT_number 2
_cell_length_a 9.172
_cell_length_b 9.206
_cell_length_c 10.700
_cell_angle_alpha 108.97
_cell_angle_beta 108.18
_cell_angle_gamma 90.92
loop_
_space_group_symop_operation_xyz
'x,y,z'
'-x,-y,-z'
loop_
_atom_site_label
_atom_site_fract_x
_atom_site_fract_y
_atom_site_fract_z
Ni1 0.230 0.271 0.004
Ni2 0.255 0.782 0.518
P1 0.090 0.901 0.257
P2 0.091 0.227 0.414
P3 0.092 0.450 0.255
P4 0.240 0.573 0.891
P5 0.262 0.917 0.056
P6 0.413 0.109 0.785
P7 0.435 0.250 0.573
P8 0.441 0.592 0.728
O1 0.031 0.761 0.523
O2 0.060 0.201 0.812
O3 0.067 0.083 0.275
O4 0.084 0.335 0.117
O5 0.088 0.519 0.757
O6 0.129 0.369 0.374
O7 0.178 0.863 0.142
O8 0.195 0.599 0.325
O9 0.196 0.035 0.998
O10 0.202 0.908 0.394
O11 0.246 0.511 0.003
O12 0.251 0.224 0.528
O13 0.260 0.758 0.936
O14 0.290 0.980 0.687
O15 0.312 0.647 0.638
O16 0.372 0.525 0.826
O17 0.389 0.233 0.904
O18 0.408 0.311 0.187
O19 0.436 0.970 0.151
O20 0.479 0.430 0.631
O21 0.488 0.195 0.702
O22 0.497 0.822 0.537
```

Entry 2:
Density functional theory data (GGA+U) for SrCaCrF7 after structural relaxation.

Summary:
The calculated formation energy comes out at -3.77 eV/atom.

```
data_SrCaCrF7
_chemical_formula_sum 'Sr4 Ca4 Cr4 F28'
_space_group_name_H-M_alt 'P n m a'
_space_group_IT_number 62
_cell_length_a 8.095
_cell_length_b 7.411
_cell_length_c 10.012
_cell_angle_alpha 90.00
_cell_angle_beta 90.00
_cell_angle_gamma 90.00
loop_
_space_group_symop_operation_xyz
'x,y,z'
'-x,-y,-z'
'-x+1/2,-y,z+1/2'
'x+1/2,y,-z+1/2'
'x+1/2,-y+1/2,-z+1/2'
'-x+1/2,y+1/2,z+1/2'
'-x,y+1/2,-z'
'x,-y+1/2,z'
loop_
_atom_site_label
_atom_site_fract_x
_atom_site_fract_y
_atom_site_fract_z
Sr1 0.197 0.250 0.106
Ca1 0.119 0.750 0.257
Cr1 0.185 0.250 0.445
F1 0.037 0.750 0.478
F2 0.101 0.750 0.863
F3 0.121 0.066 0.315
F4 0.126 0.250 0.859
F5 0.241 0.577 0.080
```

Entry 3:
Density functional theory data (GGA+U) for CsV3O8 after structural relaxation.

Summary:
The calculated formation energy comes out at -2.38 eV/atom.

```
data_CsV3O8
_chemical_formula_sum 'Cs2 V6 O16'
_space_group_name_H-M_alt 'P 1 21/m 1'
_space_group_IT_number 11
_cell_length_a 5.153
_cell_length_b 8.773
_cell_length_c 8.510
_cell_angle_alpha 90.00
_cell_angle_beta 97.77
_cell_angle_gamma 90.00
loop_
_space_group_symop_operation_xyz
'x,y,z'
'-x,-y,-z'
'-x,y+1/2,-z'
'x,-y+1/2,z'
loop_
_atom_site_label
_atom_site_fract_x
_atom_site_fract_y
_atom_site_fract_z
Cs1 0.067 0.250 0.447
V1 0.082 0.250 0.938
V2 0.439 0.558 0.168
O1 0.086 0.750 0.914
O2 0.114 0.604 0.201
O3 0.328 0.090 0.998
O4 0.423 0.250 0.768
O5 0.437 0.552 0.685
```

Q: The highest calculated formation energy belongs to which entry?
A: CsV3O8